# 1
Computed, not measured: a relaxed Tb4Si7 crystal at the GGA-PBE level of DFT. Values from VASP.

The structure in Quantum ESPRESSO input format:
```
&SYSTEM
  ibrav = 0, nat = 11, ntyp = 2
/
ATOMIC_SPECIES
Tb 158.93 Tb.upf
Si 28.09 Si.upf
ATOMIC_POSITIONS crystal
Tb 0.011 0.750 0.376
Tb 0.518 0.250 0.873
Tb 0.516 0.750 0.121
Tb 0.008 0.250 0.623
Si 0.513 0.250 0.291
Si 0.027 0.750 0.779
Si 0.014 0.250 0.208
Si 0.509 0.250 0.463
Si 0.013 0.750 0.949
Si 0.020 0.250 0.038
Si 0.508 0.750 0.561
CELL_PARAMETERS angstrom
0.000 0.009 4.103
3.995 0.000 0.000
0.000 13.621 0.027
```

## Properties
ΔE_f: -549 meV/atom
energy relative to the lowest polymorph listed for this composition: 10 meV/atom
energy: -63.1 eV per cell
space-group type: Pm (6)

***

# 2
Computed, not measured: a relaxed Tb4Si7 crystal at the GGA-PBE level of DFT. Values from VASP.

The structure in Quantum ESPRESSO input format:
```
&SYSTEM
  ibrav = 0, nat = 22, ntyp = 2
/
ATOMIC_SPECIES
Tb 158.93 Tb.upf
Si 28.09 Si.upf
ATOMIC_POSITIONS crystal
Tb 0.886 0.379 0.128
Tb 0.621 0.114 0.872
Tb 0.873 0.873 0.626
Tb 0.127 0.127 0.374
Tb 0.379 0.886 0.128
Tb 0.114 0.621 0.872
Tb 0.374 0.374 0.630
Tb 0.626 0.626 0.370
Si 0.863 0.378 0.713
Si 0.622 0.137 0.287
Si 0.880 0.880 0.202
Si 0.120 0.120 0.798
Si 0.378 0.863 0.713
Si 0.137 0.622 0.287
Si 0.381 0.381 0.184
Si 0.619 0.619 0.816
Si 0.874 0.374 0.544
Si 0.626 0.126 0.456
Si 0.857 0.857 0.032
Si 0.143 0.143 0.968
Si 0.374 0.874 0.544
Si 0.126 0.626 0.456
CELL_PARAMETERS angstrom
-5.029 -0.863 -2.436
-1.065 -4.254 3.569
-6.057 8.845 8.994
```

## Properties
ΔE_f: -559 meV/atom
energy relative to the lowest polymorph listed for this composition: 0 meV/atom
energy: -126.3 eV per cell
space-group type: C2/m (12)

***

# 3
Computed, not measured: a relaxed TbTiSi crystal at the GGA-PBE level of DFT. Values from VASP.

The structure in Quantum ESPRESSO input format:
```
&SYSTEM
  ibrav = 0, nat = 6, ntyp = 3
/
ATOMIC_SPECIES
Tb 158.93 Tb.upf
Ti 47.87 Ti.upf
Si 28.09 Si.upf
ATOMIC_POSITIONS crystal
Tb 0.000 0.500 0.346
Tb 0.500 0.000 0.654
Ti 0.000 0.000 0.000
Ti 0.500 0.500 0.000
Si 0.000 0.500 0.765
Si 0.500 0.000 0.235
CELL_PARAMETERS angstrom
4.051 0.000 0.000
0.000 4.051 0.000
0.000 0.000 7.572
```

## Properties
ΔE_f: -621 meV/atom
energy: -39.8 eV per cell
space-group type: P4/nmm (129)

***

# 4
Computed, not measured: a relaxed SiTc4 crystal at the GGA-PBE level of DFT. Values from VASP.

The structure in Quantum ESPRESSO input format:
```
&SYSTEM
  ibrav = 0, nat = 5, ntyp = 2
/
ATOMIC_SPECIES
Si 28.09 Si.upf
Tc 98.00 Tc.upf
ATOMIC_POSITIONS crystal
Si 0.000 0.000 0.000
Tc 0.407 0.407 0.593
Tc 0.803 0.803 0.197
Tc 0.197 0.197 0.803
Tc 0.593 0.593 0.407
CELL_PARAMETERS angstrom
-7.674 -3.665 6.745
-6.436 -1.845 8.359
-2.238 0.929 -1.258
```

## Properties
ΔE_f: 153 meV/atom
energy: -46.1 eV per cell
space-group type: Fmmm (69)

***

The highest ΔE_f belongs to which entry?
SiTc4